#A
Li9Mn4B8O24 | GGA+U | relaxed

Cell lengths 5.281, 8.729, 9.810 Å; angles 90.28, 93.22, 90.07 degrees
Fractional positions:
Li (0.000, 0.000, 0.000)
Li (0.007, 0.687, 0.490)
Li (0.141, 0.524, 0.247)
Li (0.151, 0.184, 0.755)
Li (0.189, 0.193, 0.222)
Li (0.504, 0.148, 0.987)
Li (0.516, 0.822, 0.508)
Li (0.644, 0.324, 0.746)
Li (0.654, 0.651, 0.266)
Mn (0.202, 0.862, 0.750)
Mn (0.462, 0.476, 0.007)
Mn (0.698, 0.968, 0.252)
Mn (0.957, 0.364, 0.501)
B (0.003, 0.350, 0.003)
B (0.157, 0.848, 0.260)
B (0.169, 0.514, 0.747)
B (0.488, 0.821, 0.007)
B (0.504, 0.482, 0.493)
B (0.654, 0.986, 0.759)
B (0.667, 0.320, 0.246)
B (0.989, 0.014, 0.509)
O (0.017, 0.392, 0.699)
O (0.059, 0.991, 0.221)
O (0.083, 0.158, 0.532)
O (0.084, 0.658, 0.717)
O (0.108, 0.493, 0.036)
O (0.144, 0.892, 0.555)
O (0.154, 0.223, 0.000)
O (0.244, 0.497, 0.470)
O (0.255, 0.851, 0.941)
O (0.396, 0.476, 0.815)
O (0.416, 0.831, 0.283)
O (0.493, 0.105, 0.782)
O (0.526, 0.449, 0.204)
O (0.554, 0.843, 0.720)
O (0.557, 0.181, 0.227)
O (0.582, 0.679, 0.034)
O (0.604, 0.340, 0.531)
O (0.636, 0.944, 0.054)
O (0.667, 0.600, 0.473)
O (0.744, 0.339, 0.975)
O (0.758, 0.978, 0.446)
O (0.914, 0.000, 0.781)
O (0.916, 0.341, 0.303)
O (0.997, 0.730, 0.280)

- SG = P1, No. 1
- size of the total moment (μB/f.u.) = 13.00

---

#B
Li9Mn4B8O24 | GGA+U | relaxed

Cell lengths 5.214, 8.799, 9.717 Å; angles 89.07, 86.33, 89.00 degrees
Fractional positions:
Li (0.000, 0.000, 0.000)
Li (0.029, 0.282, 0.516)
Li (0.138, 0.786, 0.236)
Li (0.191, 0.747, 0.785)
Li (0.434, 0.885, 0.465)
Li (0.512, 0.848, 0.012)
Li (0.628, 0.663, 0.247)
Li (0.673, 0.330, 0.309)
Li (0.707, 0.369, 0.773)
Mn (0.193, 0.109, 0.251)
Mn (0.417, 0.519, 0.004)
Mn (0.702, 0.023, 0.749)
Mn (0.926, 0.612, 0.505)
B (0.138, 0.463, 0.266)
B (0.146, 0.103, 0.742)
B (0.485, 0.527, 0.513)
B (0.489, 0.177, 0.992)
B (0.654, 0.681, 0.767)
B (0.656, 0.992, 0.238)
B (0.966, 0.950, 0.494)
B (0.979, 0.608, 0.013)
O (0.045, 0.324, 0.293)
O (0.055, 0.958, 0.782)
O (0.072, 0.463, 0.989)
O (0.075, 0.807, 0.471)
O (0.122, 0.068, 0.449)
O (0.180, 0.713, 0.018)
O (0.236, 0.486, 0.523)
O (0.260, 0.131, 0.054)
O (0.386, 0.493, 0.206)
O (0.394, 0.143, 0.729)
O (0.489, 0.872, 0.233)
O (0.490, 0.563, 0.808)
O (0.558, 0.826, 0.795)
O (0.560, 0.134, 0.274)
O (0.568, 0.324, 0.970)
O (0.572, 0.674, 0.483)
O (0.662, 0.060, 0.946)
O (0.698, 0.428, 0.522)
O (0.725, 0.647, 0.034)
O (0.726, 0.973, 0.558)
O (0.891, 0.647, 0.702)
O (0.917, 0.968, 0.207)
O (0.937, 0.198, 0.714)
O (0.979, 0.591, 0.304)

- SG = P1, No. 1
- size of the total moment (μB/f.u.) = 13.00

---

Which one is most stable, and which one is least stable? #B is the most stable of them, while #A is the least stable.

---

#A
LiMn2B2O6 | GGA+U | relaxed

Cell lengths 5.236, 5.236, 10.592 Å; angles 90.53, 90.53, 118.38 degrees
Fractional positions:
Li (0.031, 0.969, 0.500)
Li (0.969, 0.031, 0.000)
Mn (0.204, 0.513, 0.854)
Mn (0.440, 0.803, 0.115)
Mn (0.513, 0.204, 0.354)
Mn (0.803, 0.440, 0.615)
B (0.141, 0.517, 0.370)
B (0.474, 0.828, 0.609)
B (0.517, 0.141, 0.870)
B (0.828, 0.474, 0.109)
O (0.072, 0.470, 0.053)
O (0.168, 0.277, 0.384)
O (0.218, 0.631, 0.666)
O (0.277, 0.168, 0.884)
O (0.317, 0.750, 0.293)
O (0.470, 0.072, 0.553)
O (0.551, 0.922, 0.936)
O (0.631, 0.218, 0.166)
O (0.712, 0.791, 0.609)
O (0.750, 0.317, 0.793)
O (0.791, 0.712, 0.109)
O (0.922, 0.551, 0.436)

- SG = Cc, No. 9
- size of the total moment (μB/f.u.) = 0.00

---

#B
LiMn2B2O6 | GGA+U | relaxed

Cell lengths 5.791, 9.178, 9.815 Å; angles 81.24, 79.84, 75.86 degrees
Fractional positions:
Li (0.000, 0.000, 0.000)
Li (0.086, 0.615, 0.260)
Li (0.571, 0.614, 0.762)
Li (0.830, 0.114, 0.519)
Mn (0.161, 0.936, 0.263)
Mn (0.188, 0.203, 0.744)
Mn (0.406, 0.398, 0.015)
Mn (0.422, 0.704, 0.497)
Mn (0.643, 0.927, 0.780)
Mn (0.666, 0.196, 0.256)
Mn (0.899, 0.434, 0.521)
Mn (0.930, 0.670, 0.993)
B (0.139, 0.271, 0.280)
B (0.179, 0.854, 0.757)
B (0.394, 0.750, 0.023)
B (0.434, 0.359, 0.503)
B (0.656, 0.270, 0.767)
B (0.695, 0.857, 0.239)
B (0.897, 0.773, 0.526)
B (0.930, 0.335, 0.997)
O (0.000, 0.202, 0.942)
O (0.026, 0.150, 0.328)
O (0.060, 0.409, 0.330)
O (0.074, 0.441, 0.973)
O (0.085, 0.754, 0.413)
O (0.209, 0.392, 0.587)
O (0.265, 0.723, 0.702)
O (0.285, 0.630, 0.065)
O (0.305, 0.888, 0.073)
O (0.309, 0.967, 0.739)
O (0.334, 0.249, 0.175)
O (0.475, 0.886, 0.329)
O (0.524, 0.223, 0.457)
O (0.537, 0.154, 0.804)
O (0.566, 0.472, 0.482)
O (0.577, 0.405, 0.824)
O (0.590, 0.737, 0.913)
O (0.711, 0.371, 0.086)
O (0.777, 0.656, 0.572)
O (0.785, 0.723, 0.190)
O (0.825, 0.906, 0.584)
O (0.826, 0.973, 0.209)
O (0.853, 0.251, 0.660)
O (0.959, 0.881, 0.852)

- SG = P1, No. 1
- size of the total moment (μB/f.u.) = 9.00

---

#C
LiMn2B2O6 | GGA+U | relaxed

Cell lengths 5.306, 6.074, 11.825 Å; angles 83.40, 78.85, 86.97 degrees
Fractional positions:
Li (0.000, 0.000, 0.000)
Li (0.050, 0.595, 0.269)
Li (0.387, 0.925, 0.602)
Mn (0.177, 0.425, 0.013)
Mn (0.209, 0.499, 0.589)
Mn (0.508, 0.759, 0.349)
Mn (0.551, 0.834, 0.918)
Mn (0.842, 0.094, 0.682)
Mn (0.880, 0.167, 0.256)
B (0.119, 0.735, 0.804)
B (0.270, 0.194, 0.798)
B (0.451, 0.045, 0.137)
B (0.605, 0.551, 0.133)
B (0.781, 0.395, 0.473)
B (0.936, 0.877, 0.467)
O (0.091, 0.258, 0.887)
O (0.173, 0.737, 0.917)
O (0.186, 0.822, 0.483)
O (0.204, 0.118, 0.118)
O (0.207, 0.180, 0.688)
O (0.297, 0.670, 0.716)
O (0.415, 0.610, 0.223)
O (0.506, 0.044, 0.250)
O (0.516, 0.119, 0.810)
O (0.537, 0.542, 0.025)
O (0.541, 0.492, 0.459)
O (0.641, 0.985, 0.050)
O (0.748, 0.949, 0.552)
O (0.834, 0.377, 0.586)
O (0.854, 0.488, 0.150)
O (0.874, 0.847, 0.359)
O (0.876, 0.822, 0.789)
O (0.961, 0.342, 0.382)

- SG = P1, No. 1
- size of the total moment (μB/f.u.) = 9.00

---

#D
LiMn2B2O6 | GGA+U | relaxed

Cell lengths 5.301, 9.110, 10.556 Å; angles 79.79, 79.06, 89.90 degrees
Fractional positions:
Li (0.009, 0.383, 0.168)
Li (0.260, 0.135, 0.666)
Li (0.740, 0.865, 0.334)
Li (0.991, 0.617, 0.832)
Mn (0.027, 0.745, 0.126)
Mn (0.228, 0.013, 0.372)
Mn (0.276, 0.497, 0.623)
Mn (0.476, 0.760, 0.876)
Mn (0.524, 0.240, 0.124)
Mn (0.724, 0.503, 0.377)
Mn (0.772, 0.987, 0.628)
Mn (0.973, 0.255, 0.874)
B (0.008, 0.072, 0.130)
B (0.237, 0.687, 0.375)
B (0.259, 0.822, 0.631)
B (0.487, 0.436, 0.875)
B (0.513, 0.564, 0.125)
B (0.741, 0.178, 0.369)
B (0.763, 0.313, 0.625)
B (0.992, 0.928, 0.870)
O (0.001, 0.689, 0.333)
O (0.082, 0.787, 0.920)
O (0.113, 0.696, 0.645)
O (0.135, 0.054, 0.854)
O (0.176, 0.964, 0.577)
O (0.237, 0.076, 0.175)
O (0.253, 0.442, 0.829)
O (0.331, 0.549, 0.425)
O (0.363, 0.440, 0.137)
O (0.384, 0.812, 0.365)
O (0.428, 0.703, 0.072)
O (0.483, 0.822, 0.681)
O (0.517, 0.178, 0.319)
O (0.572, 0.297, 0.928)
O (0.616, 0.188, 0.635)
O (0.637, 0.560, 0.863)
O (0.669, 0.451, 0.575)
O (0.747, 0.558, 0.171)
O (0.763, 0.924, 0.825)
O (0.824, 0.036, 0.423)
O (0.865, 0.946, 0.146)
O (0.887, 0.304, 0.355)
O (0.918, 0.213, 0.080)
O (0.999, 0.311, 0.667)

- SG = P-1, No. 2
- size of the total moment (μB/f.u.) = 9.00

---

Which one is most stable, and which one is least stable? #B is the most stable of them, while #D is the least stable.